Record 1
Density functional theory data (GGA+U) for a relaxed structure of K4Na4Mo5W3O20.

extended XYZ file:
```
144
Lattice="11.5681 0.0000 0.0000 -0.0202 11.7361 0.0000 -5.7506 -5.8382 15.4789" Properties=species:S:1:pos:R:3 pbc="T T T"
K 0.0000 0.0000 0.0000
K -5.7377 -0.0056 15.4774
K -2.8413 2.9249 7.9172
K 0.0349 0.0227 4.4572
K 0.0405 5.9149 4.5167
K 2.8783 3.2355 0.0077
K 0.0613 6.1803 7.9475
K 2.9078 9.0965 4.4400
K 2.9524 3.1688 4.4765
K 5.7871 5.8669 0.0169
K 2.9430 -2.9331 7.9543
K 5.8063 0.0342 4.4515
K 5.8301 5.8765 4.4974
K 5.8297 6.1542 7.9544
K 8.6973 9.0407 4.4168
K 8.7136 3.1648 4.4505
Na -2.8342 8.7873 7.7500
Na -2.8305 -2.9624 12.2927
Na -2.8227 2.9125 12.2989
Na -2.8426 3.2406 15.3337
Na 0.0632 0.2889 7.7341
Na 0.0482 6.1752 12.3275
Na 0.1046 0.3758 12.2664
Na 0.0646 5.8525 15.3430
Na 2.9493 2.9220 7.7275
Na 2.9528 2.8717 12.2781
Na 2.9679 -2.9399 12.3198
Na 2.9547 3.2545 15.3526
Na 2.9843 -2.6025 15.3746
Na 5.8626 0.3034 7.7439
Na 5.8415 0.3329 12.2676
Na 5.8764 6.2223 12.3083
Mo 0.3671 8.6073 2.1673
Mo -2.9785 6.0078 13.7850
Mo -2.9527 0.1887 13.7791
Mo -0.0335 3.0604 6.2108
Mo -0.0446 8.9653 6.2281
Mo -0.0819 3.1094 13.8045
Mo -0.0653 -2.8042 13.8272
Mo 2.8630 0.1640 6.1958
Mo 2.8632 5.9948 6.2382
Mo 6.1555 8.6768 2.1325
Mo 6.1945 2.6471 2.1564
Mo 2.8090 0.1546 13.8064
Mo 2.7924 6.0349 13.8486
Mo 5.7310 8.9556 6.1952
Mo 5.7641 3.0576 6.2098
Mo 8.9514 0.4672 2.1864
Mo 5.6670 3.0766 13.7982
Mo 5.7170 -2.7802 13.7770
Mo 8.6247 0.1175 6.2247
Mo 8.6485 6.0267 6.2154
W 0.3461 2.6852 2.2565
W -2.4487 5.6432 10.1259
W -2.3952 -0.2460 10.0662
W 3.2626 6.4447 2.2482
W 3.3529 0.4312 2.1196
W 0.4415 -2.3443 10.1744
W 0.4875 3.3826 10.0357
W 3.3669 -0.1458 10.0402
W 3.3045 5.5968 10.1985
W 9.0276 6.3858 2.2067
W 6.1843 3.4016 10.1095
W 6.2943 -2.3417 10.0646
O 8.4545 0.3492 8.3515
O -0.1638 3.2769 0.4540
O -0.7712 1.0102 2.1836
O -0.6671 6.8558 2.2375
O -2.8962 6.3485 8.3670
O -3.4873 3.8895 10.2827
O -3.3177 -2.0769 10.0497
O -4.3875 -1.3132 13.4818
O -4.4090 4.5344 13.5435
O -1.4835 7.5003 6.0735
O -1.4578 1.5706 6.0678
O -4.3785 -4.2346 13.9759
O -4.3888 1.6664 13.9558
O -1.4787 -1.3233 6.4063
O -1.4583 4.5524 6.3670
O -3.1307 6.5149 11.7136
O -3.0156 0.6271 11.6715
O -0.0307 3.3297 4.0405
O -0.0220 9.1662 3.9936
O 2.7577 5.7809 0.4689
O 2.7722 11.3855 0.4581
O 2.2372 8.1912 1.9355
O -0.1073 -2.9481 8.3871
O 2.1872 2.1227 2.2474
O -0.0697 2.6641 8.3418
O -0.4364 -0.4956 10.0042
O -0.5554 5.1369 10.3111
O -1.4925 -1.2814 13.4838
O -1.5220 4.5676 13.5533
O 1.4268 1.6203 6.0876
O -1.5235 1.6693 14.0435
O 1.4298 7.4950 6.0687
O -1.4744 -4.2888 14.0038
O 1.4123 -1.2880 6.3995
O 1.4449 4.5062 6.3863
O -0.1654 2.6528 11.7247
O -0.1474 -3.2980 11.7239
O 2.8762 0.0200 3.9913
O 2.8647 5.7741 4.0030
O 5.5393 9.4255 0.4855
O 5.5600 3.3706 0.4883
O 2.8198 0.5447 8.3335
O 2.8281 6.1752 8.3820
O 5.2422 0.8325 1.9523
O 5.1336 6.9176 2.2567
O 2.4177 3.7445 9.9905
O 2.3553 -1.9055 10.3312
O 1.3658 4.5874 13.5650
O 1.3975 -1.3592 13.5810
O 4.3081 7.4627 6.0507
O 4.3304 1.6166 6.0962
O 1.4029 1.6866 14.0253
O 1.3916 -4.2455 14.1475
O 4.3289 -1.2781 6.3565
O 4.3137 4.5089 6.3963
O 2.6850 0.5839 11.7247
O 2.6685 6.5275 11.7361
O 5.7702 3.2460 3.9352
O 5.7480 9.1625 3.9808
O 8.4506 11.3759 0.5031
O 8.0038 8.1318 1.9074
O 8.5591 5.5824 0.4722
O 5.6790 -2.9910 8.3321
O 8.0867 2.2881 1.9878
O 5.7538 2.7196 8.3538
O 5.2968 -0.5429 10.0089
O 5.2179 5.1853 10.3494
O 4.2397 4.5610 13.5463
O 4.2753 -1.3061 13.5344
O 7.1991 1.5936 6.0515
O 4.2607 -4.2308 13.9978
O 4.2380 1.6344 14.0508
O 7.2221 7.5034 6.0782
O 7.1994 -1.3344 6.3915
O 7.2211 4.5325 6.3562
O 5.4796 2.5859 11.7255
O 5.6465 -3.2096 11.6655
O 8.5602 -0.1002 3.9864
O 8.6148 5.7916 3.9971
O 11.2675 9.2438 0.4883
```

Results
SG = P1
Theoretical density = 5.06 Mg/m³
DFT formation energy = -65.2 eV/f.u.
Total energy = -895.590 eV for the cell shown



Record 2
Density functional theory data (GGA+U) for a relaxed structure of BaSrYWO6.

extended XYZ file:
```
10
Lattice="0.0000 4.2344 4.2344 4.2344 0.0000 4.2344 4.2344 4.2344 0.0000" Properties=species:S:1:pos:R:3 pbc="T T T"
Ba 0.0000 0.0000 0.0000
Sr 4.2344 4.2344 4.2344
Y 2.1172 2.1172 2.1172
W 6.3516 6.3516 6.3516
O 6.3516 6.3516 4.3524
O 6.3516 4.3524 6.3516
O 8.3509 6.3516 6.3516
O 4.3524 6.3516 6.3516
O 6.3516 8.3509 6.3516
O 6.3516 6.3516 8.3509
```

Results
SG = F-43m
Theoretical density = 6.49 Mg/m³
DFT formation energy = -30.5 eV/f.u.
Total energy = -74.626 eV for the cell shown
Polymorph energy (0 for the lowest one) = 86 meV/atom